--- a ---
An optimized crystal structure of Ba2Ti2AlTlO7. Source: the Materials Project, functional PBE.

```
Ba2Ti2AlTlO7
1.0
2.632 -2.634 0.000
2.632 2.634 0.000
0.000 0.000 14.958
Ba Ti Al Tl O
2 2 1 1 7
direct
0.501 0.499 0.170
0.501 0.499 0.830
0.001 0.999 0.370
0.001 0.999 0.630
0.511 0.489 0.500
0.001 0.999 0.000
0.002 0.998 0.250
0.499 0.001 0.418
0.999 0.501 0.418
0.999 0.501 0.582
0.501 0.499 0.000
0.499 0.001 0.582
0.002 0.998 0.750
```

Output
Total moment ... 1.7 μB/f.u.

=====

--- b ---
An optimized crystal structure of Ba2Ti2AlTlO7. Source: the Materials Project, functional PBE.

```
Ba2Ti2AlTlO7
1.0
3.839 0.076 -0.101
0.076 3.846 -0.100
-0.416 -0.423 14.572
Ba Ti Al Tl O
2 2 1 1 7
direct
0.518 0.523 0.171
0.466 0.465 0.832
0.069 0.076 0.376
0.933 0.925 0.623
0.498 0.497 0.501
0.989 0.991 0.000
0.030 0.037 0.254
0.121 0.593 0.418
0.585 0.125 0.418
0.420 0.879 0.581
0.515 0.515 0.002
0.889 0.410 0.579
0.969 0.964 0.745
```

Output
Total moment ... 1.3 μB/f.u.

=====

b has the most favorable energy; the next structure is 82 meV per atom above.

=====

--- a ---
An optimized crystal structure of La3BeAlS7. Source: the Materials Project, functional PBE.

```
La3BeAlS7
1.0
-7.113 7.362 0.646
-1.934 -8.546 -5.333
-2.175 -2.526 4.837
La Be Al S
6 2 2 14
direct
0.369 0.130 0.732
0.870 0.239 0.732
0.631 0.870 0.232
0.761 0.631 0.732
0.130 0.761 0.232
0.239 0.369 0.232
0.000 0.000 0.500
0.000 0.000 0.000
0.333 0.667 0.651
0.667 0.333 0.151
0.333 0.667 0.026
0.667 0.333 0.526
0.103 0.515 0.504
0.485 0.588 0.504
0.897 0.485 0.004
0.412 0.897 0.504
0.515 0.412 0.004
0.588 0.103 0.004
0.140 0.214 0.748
0.786 0.925 0.748
0.860 0.786 0.248
0.075 0.860 0.748
0.214 0.075 0.248
0.925 0.140 0.248
```

Output
Total moment ... 0.0 μB/f.u.

=====

--- b ---
An optimized crystal structure of La3BeAlS7. Source: the Materials Project, functional PBE.

```
La3BeAlS7
1.0
2.037 9.229 3.881
-6.084 -6.448 5.079
4.720 -2.230 2.824
La Be Al S
6 2 2 14
direct
0.747 0.138 0.250
0.391 0.253 0.250
0.862 0.609 0.250
0.253 0.862 0.750
0.609 0.747 0.750
0.138 0.391 0.750
0.667 0.333 0.662
0.333 0.667 0.162
0.000 0.000 0.010
0.000 0.000 0.510
0.859 0.076 0.766
0.217 0.141 0.766
0.924 0.783 0.766
0.141 0.924 0.266
0.783 0.859 0.266
0.076 0.217 0.266
0.887 0.407 0.534
0.520 0.113 0.534
0.593 0.480 0.534
0.113 0.593 0.034
0.480 0.887 0.034
0.407 0.520 0.034
0.667 0.333 0.016
0.333 0.667 0.516
```

Output
Total moment ... 0.0 μB/f.u.

=====

b has the most favorable energy; the next structure is 28 meV per atom above.